No. 1
Here is crystalline Na4La3TaP6O24 at its relaxed geometry from Materials Project. Energies are from PBE.

Computed properties:
As for the symmetry: P1, No. 1.

Lattice parameters (Å, degrees): 9.397 9.398 23.919 90.10 90.04 119.96
Atoms (fractional coordinates):
Na1 0.000 0.000 0.000
Na2 0.001 0.000 0.508
Na3 0.008 0.371 0.753
Na4 0.027 0.332 0.420
Na5 0.308 0.972 0.422
Na6 0.320 0.654 0.333
Na7 0.334 0.682 0.843
Na8 0.625 0.994 0.246
Na9 0.630 0.633 0.753
Na10 0.656 0.322 0.668
Na11 0.667 0.345 0.166
Na12 0.668 0.696 0.421
La1 0.007 0.000 0.860
La2 0.007 0.999 0.347
La3 0.324 0.655 0.182
La4 0.335 0.668 0.500
La5 0.335 0.677 0.683
La6 0.655 0.320 0.827
La7 0.668 0.345 0.311
La8 0.670 0.333 0.021
La9 0.670 0.334 0.524
Ta1 0.005 0.000 0.147
Ta2 0.005 0.000 0.653
Ta3 0.334 0.664 0.990
P1 0.024 0.340 0.591
P2 0.049 0.689 0.085
P3 0.293 0.288 0.749
P4 0.298 0.006 0.245
P5 0.314 0.358 0.086
P6 0.319 0.980 0.587
P7 0.366 0.010 0.926
P8 0.367 0.339 0.420
P9 0.640 0.950 0.088
P10 0.647 0.635 0.922
P11 0.661 0.682 0.591
P12 0.663 0.028 0.416
P13 0.717 0.714 0.245
P14 0.722 0.006 0.750
P15 0.975 0.635 0.420
P16 0.990 0.353 0.922
P17 0.990 0.704 0.749
P18 0.993 0.282 0.247
O1 0.007 0.799 0.803
O2 0.013 0.168 0.600
O3 0.025 0.211 0.920
O4 0.042 0.855 0.093
O5 0.115 0.451 0.641
O6 0.115 0.662 0.140
O7 0.121 0.410 0.535
O8 0.132 0.666 0.745
O9 0.140 0.456 0.245
O10 0.147 0.186 0.093
O11 0.148 0.650 0.424
O12 0.159 0.989 0.599
O13 0.160 0.516 0.937
O14 0.171 0.705 0.036
O15 0.180 0.004 0.197
O16 0.187 0.175 0.698
O17 0.188 0.975 0.922
O18 0.191 0.185 0.417
O19 0.196 0.210 0.802
O20 0.221 0.999 0.303
O21 0.290 0.888 0.530
O22 0.293 0.462 0.037
O23 0.309 0.460 0.743
O24 0.325 0.857 0.244
O25 0.341 0.882 0.633
O26 0.343 0.452 0.140
O27 0.349 0.496 0.425
O28 0.358 0.839 0.939
O29 0.452 0.318 0.471
O30 0.453 0.324 0.075
O31 0.456 0.127 0.973
O32 0.462 0.074 0.870
O33 0.465 0.155 0.587
O34 0.467 0.165 0.240
O35 0.467 0.307 0.748
O36 0.470 0.359 0.367
O37 0.486 0.644 0.938
O38 0.506 0.855 0.423
O39 0.532 0.825 0.040
O40 0.550 0.662 0.641
O41 0.551 0.888 0.144
O42 0.552 0.712 0.242
O43 0.552 0.851 0.744
O44 0.592 0.711 0.535
O45 0.614 0.542 0.865
O46 0.645 0.107 0.362
O47 0.672 0.538 0.968
O48 0.674 0.124 0.077
O49 0.685 0.140 0.466
O50 0.689 0.536 0.588
O51 0.703 0.545 0.239
O52 0.720 0.170 0.748
O53 0.786 0.789 0.303
O54 0.791 0.812 0.920
O55 0.800 0.989 0.803
O56 0.815 0.959 0.095
O57 0.817 0.005 0.416
O58 0.823 0.540 0.747
O59 0.825 0.274 0.241
O60 0.833 0.842 0.601
O61 0.834 0.010 0.699
O62 0.837 0.830 0.197
O63 0.849 0.310 0.588
O64 0.868 0.551 0.471
O65 0.870 0.328 0.968
O66 0.874 0.550 0.076
O67 0.890 0.532 0.367
O68 0.928 0.383 0.865
O69 0.995 0.817 0.698
O70 0.997 0.811 0.417
O71 0.999 0.168 0.198
O72 0.999 0.212 0.305

---

No. 2
Here is crystalline Na7La3ZnP6O24 at its relaxed geometry from Materials Project. Energies are from PBE.

Computed properties:
As for the symmetry: P1, No. 1.

Lattice parameters (Å, degrees): 9.569 9.577 23.456 90.10 90.62 119.96
Atoms (fractional coordinates):
Na1 0.000 0.000 0.000
Na2 0.000 0.613 0.486
Na3 0.004 0.943 0.324
Na4 0.017 0.334 0.568
Na5 0.028 0.334 0.079
Na6 0.053 0.664 0.171
Na7 0.057 0.031 0.669
Na8 0.327 0.361 0.485
Na9 0.328 0.660 0.670
Na10 0.329 0.305 0.171
Na11 0.373 0.015 0.744
Na12 0.374 0.998 0.244
Na13 0.410 0.360 0.818
Na14 0.412 0.694 0.322
Na15 0.660 0.358 0.326
Na16 0.670 0.946 0.822
Na17 0.682 0.667 0.907
Na18 0.693 0.665 0.399
Na19 0.723 0.368 0.998
Na20 0.747 0.023 0.485
Na21 0.994 0.694 0.819
La1 0.010 0.316 0.234
La2 0.012 0.333 0.731
La3 0.037 0.346 0.927
La4 0.357 0.998 0.401
La5 0.358 0.989 0.900
La6 0.371 0.010 0.597
La7 0.372 0.991 0.099
La8 0.679 0.675 0.066
La9 0.691 0.656 0.566
Zn1 0.025 0.333 0.421
Zn2 0.694 0.659 0.756
Zn3 0.697 0.679 0.254
P1 0.001 0.962 0.168
P2 0.003 0.679 0.668
P3 0.015 0.628 0.332
P4 0.017 0.015 0.828
P5 0.044 0.688 0.999
P6 0.051 0.010 0.497
P7 0.330 0.340 0.334
P8 0.347 0.681 0.497
P9 0.349 0.643 0.824
P10 0.356 0.297 0.998
P11 0.388 0.663 0.174
P12 0.389 0.362 0.669
P13 0.680 0.010 0.992
P14 0.681 0.307 0.491
P15 0.686 0.951 0.668
P16 0.687 0.377 0.168
P17 0.713 0.343 0.833
P18 0.725 0.021 0.337
O1 0.001 0.102 0.882
O2 0.003 0.525 0.385
O3 0.015 0.513 0.000
O4 0.038 0.551 0.277
O5 0.039 0.141 0.167
O6 0.039 0.537 0.667
O7 0.043 0.124 0.776
O8 0.043 0.168 0.493
O9 0.130 0.778 0.944
O10 0.130 0.982 0.444
O11 0.146 0.779 0.052
O12 0.156 0.026 0.550
O13 0.164 0.804 0.335
O14 0.165 0.988 0.832
O15 0.167 0.966 0.170
O16 0.169 0.841 0.669
O17 0.188 0.515 0.491
O18 0.199 0.308 0.999
O19 0.218 0.506 0.171
O20 0.219 0.349 0.668
O21 0.231 0.318 0.278
O22 0.237 0.350 0.386
O23 0.245 0.568 0.769
O24 0.256 0.534 0.875
O25 0.332 0.768 0.551
O26 0.347 0.195 0.051
O27 0.356 0.190 0.336
O28 0.358 0.809 0.174
O29 0.360 0.187 0.669
O30 0.364 0.210 0.944
O31 0.372 0.816 0.829
O32 0.375 0.790 0.444
O33 0.471 0.450 0.613
O34 0.475 0.658 0.120
O35 0.485 0.673 0.228
O36 0.490 0.454 0.722
O37 0.493 0.651 0.500
O38 0.499 0.495 0.333
O39 0.511 0.465 0.999
O40 0.516 0.655 0.823
O41 0.530 0.965 0.668
O42 0.532 0.207 0.169
O43 0.537 0.196 0.833
O44 0.547 0.988 0.337
O45 0.578 0.015 0.042
O46 0.580 0.236 0.436
O47 0.587 0.195 0.542
O48 0.596 0.000 0.934
O49 0.678 0.472 0.220
O50 0.678 0.848 0.720
O51 0.693 0.871 0.611
O52 0.694 0.464 0.111
O53 0.706 0.500 0.825
O54 0.707 0.480 0.498
O55 0.710 0.865 0.995
O56 0.719 0.856 0.331
O57 0.803 0.130 0.285
O58 0.803 0.311 0.784
O59 0.807 0.362 0.890
O60 0.824 0.109 0.391
O61 0.841 0.120 0.669
O62 0.843 0.364 0.169
O63 0.848 0.168 0.998
O64 0.849 0.318 0.490
O65 0.860 0.642 0.329
O66 0.860 0.848 0.824
O67 0.877 0.679 0.998
O68 0.877 0.862 0.500
O69 0.904 0.865 0.220
O70 0.907 0.681 0.720
O71 0.911 0.884 0.111
O72 0.914 0.668 0.611

---

No. 3
Here is crystalline Na2La2PtO6 at its relaxed geometry from Materials Project. Energies are from PBE.

Computed properties:
As for the symmetry: C2, No. 5.

Lattice parameters (Å, degrees): 6.722 6.722 6.754 90.93 90.93 89.52
Atoms (fractional coordinates):
Na1 0.000 0.000 0.000
Na2 0.005 0.350 0.639
Na3 0.510 0.490 0.500
Na4 0.650 0.995 0.361
La1 0.134 0.866 0.500
La2 0.365 0.635 0.000
La3 0.516 0.132 0.849
La4 0.868 0.484 0.151
Pt1 0.263 0.243 0.254
Pt2 0.757 0.737 0.746
O1 0.050 0.691 0.828
O2 0.190 0.304 0.966
O3 0.206 0.543 0.317
O4 0.309 0.950 0.172
O5 0.333 0.182 0.548
O6 0.457 0.794 0.683
O7 0.551 0.328 0.187
O8 0.672 0.449 0.813
O9 0.696 0.810 0.034
O10 0.818 0.667 0.452
O11 0.833 0.025 0.694
O12 0.975 0.167 0.306

---

No. 4
Here is crystalline NaLa2RuO6 at its relaxed geometry from Materials Project. Energies are from PBE.

Computed properties:
As for the symmetry: P2_1/c, No. 14.

Lattice parameters (Å, degrees): 5.640 6.017 9.818 90.00 124.43 90.00
Atoms (fractional coordinates):
Na1 0.000 0.000 0.000
Na2 0.000 0.500 0.500
La1 0.229 0.068 0.747
La2 0.229 0.432 0.247
La3 0.771 0.568 0.753
La4 0.771 0.932 0.253
Ru1 0.500 0.000 0.500
Ru2 0.500 0.500 0.000
O1 0.160 0.173 0.449
O2 0.160 0.327 0.949
O3 0.267 0.722 0.433
O4 0.267 0.778 0.933
O5 0.386 0.049 0.270
O6 0.386 0.451 0.770
O7 0.614 0.549 0.230
O8 0.614 0.951 0.730
O9 0.733 0.222 0.067
O10 0.733 0.278 0.567
O11 0.840 0.673 0.051
O12 0.840 0.827 0.551

---

No. 5
Here is crystalline Na6La2Sc2Si3S3O24 at its relaxed geometry from Materials Project. Energies are from PBE.

Computed properties:
As for the symmetry: P1, No. 1.

Lattice parameters (Å, degrees): 9.393 9.449 23.505 89.63 89.58 60.24
Atoms (fractional coordinates):
Na1 0.000 0.000 0.000
Na2 0.000 0.360 0.763
Na3 0.008 0.703 0.507
Na4 0.020 0.656 0.203
Na5 0.024 0.036 0.688
Na6 0.337 0.337 0.368
Na7 0.347 0.033 0.843
Na8 0.364 0.656 0.591
Na9 0.376 0.671 0.102
Na10 0.630 0.366 0.516
Na11 0.643 0.703 0.014
Na12 0.674 0.018 0.437
Na13 0.674 0.400 0.192
Na14 0.681 0.635 0.679
Na15 0.695 0.009 0.922
Na16 0.715 0.320 0.838
Na17 0.729 0.659 0.360
Na18 0.992 0.360 0.284
La1 0.349 0.679 0.936
La2 0.352 0.688 0.263
La3 0.649 0.037 0.582
La4 0.661 0.027 0.081
La5 0.692 0.007 0.293
La6 0.999 0.359 0.114
Sc1 0.004 0.364 0.420
Sc2 0.347 0.671 0.452
Sc3 0.355 0.679 0.755
Sc4 0.698 0.015 0.783
Sc5 0.987 0.356 0.907
Sc6 0.998 0.363 0.611
Si1 0.040 0.989 0.849
Si2 0.047 0.673 0.354
Si3 0.292 0.363 0.514
Si4 0.648 0.695 0.849
Si5 0.651 0.383 0.355
Si6 0.672 0.713 0.181
Si7 0.676 0.326 0.685
Si8 0.707 0.352 0.013
Si9 0.710 0.646 0.516
S1 0.010 0.651 0.013
S2 0.018 0.060 0.517
S3 0.303 0.054 0.010
S4 0.329 0.994 0.357
S5 0.345 0.372 0.846
S6 0.368 0.014 0.690
S7 0.368 0.332 0.187
S8 0.979 0.720 0.685
S9 0.985 0.011 0.180
O1 0.001 0.165 0.468
O2 0.008 0.156 0.180
O3 0.011 0.546 0.967
O4 0.022 0.575 0.069
O5 0.030 0.138 0.572
O6 0.030 0.171 0.852
O7 0.037 0.503 0.357
O8 0.101 0.899 0.911
O9 0.129 0.665 0.291
O10 0.141 0.703 0.697
O11 0.142 0.857 0.184
O12 0.146 0.687 0.010
O13 0.158 0.689 0.405
O14 0.162 0.894 0.513
O15 0.171 0.880 0.799
O16 0.177 0.371 0.569
O17 0.188 0.159 0.364
O18 0.197 0.354 0.852
O19 0.201 0.352 0.184
O20 0.203 0.159 0.683
O21 0.207 0.345 0.456
O22 0.212 0.153 0.960
O23 0.224 0.135 0.064
O24 0.301 0.536 0.514
O25 0.309 0.892 0.011
O26 0.311 0.937 0.301
O27 0.321 0.488 0.799
O28 0.346 0.878 0.402
O29 0.348 0.866 0.697
O30 0.352 0.497 0.186
O31 0.382 0.429 0.899
O32 0.451 0.036 0.740
O33 0.452 0.240 0.238
O34 0.464 0.248 0.135
O35 0.473 0.979 0.639
O36 0.475 0.023 0.007
O37 0.483 0.005 0.357
O38 0.485 0.214 0.515
O39 0.490 0.207 0.835
O40 0.515 0.682 0.182
O41 0.519 0.513 0.696
O42 0.520 0.501 0.404
O43 0.529 0.521 0.010
O44 0.529 0.657 0.512
O45 0.541 0.658 0.801
O46 0.546 0.737 0.910
O47 0.589 0.474 0.291
O48 0.639 0.215 0.356
O49 0.652 0.252 0.626
O50 0.657 0.860 0.834
O51 0.669 0.804 0.120
O52 0.688 0.813 0.235
O53 0.702 0.197 0.738
O54 0.709 0.175 0.010
O55 0.712 0.819 0.520
O56 0.785 0.364 0.074
O57 0.799 0.533 0.575
O58 0.825 0.522 0.853
O59 0.826 0.550 0.461
O60 0.830 0.344 0.961
O61 0.832 0.363 0.362
O62 0.843 0.531 0.185
O63 0.849 0.027 0.840
O64 0.850 0.337 0.682
O65 0.850 0.810 0.010
O66 0.856 0.825 0.359
O67 0.861 0.810 0.733
O68 0.866 0.045 0.520
O69 0.877 0.033 0.229
O70 0.904 0.005 0.126
O71 0.914 0.815 0.632
O72 0.986 0.558 0.681

---

Number 1: calculated volume 1830.1 Å³ per cell, formation energy -3.052 eV per atom, total energy after the MP2020 corrections -897.5 eV per cell. Number 2: calculated volume 1862.1 Å³ per cell, formation energy -2.889 eV per atom, total energy after the MP2020 corrections -885.0 eV per cell. Number 3: calculated volume 305.1 Å³ per cell, formation energy -2.560 eV per atom, total energy after the MP2020 corrections -152.9 eV per cell. Number 4: calculated volume 274.8 Å³ per cell, formation energy -2.794 eV per atom, total energy after the MP2020 corrections -156.2 eV per cell. Number 5: calculated volume 1811.0 Å³ per cell, formation energy -2.810 eV per atom, total energy after the MP2020 corrections -870.9 eV per cell.